Compound: SnBr2
Source: Materials Project
Functional: PBE-GGA
Structure: optimized geometry

a = 7.094 Å, b = 7.094 Å, c = 4.492 Å
α = 90.00°, β = 90.00°, γ = 90.00°
Atoms (fractional coordinates):
Sn  0.000  0.000  0.000
Sn  0.500  0.500  0.500
Br  0.201  0.201  0.500
Br  0.299  0.701  0.000
Br  0.701  0.299  0.000
Br  0.799  0.799  0.500

Properties
ρ = 4.09 g cm⁻³
Electronic total energy = -3.20 eV/atom